Density functional theory data (meta-GGA r2SCAN) for a geometry-optimized DySi structure.

POSCAR file:
```
DySi
1.0
7.896 0.000 0.000
0.000 3.823 0.000
0.000 0.000 5.689
Dy Si
4 4
direct
0.179 0.250 0.115
0.321 0.750 0.615
0.679 0.250 0.385
0.821 0.750 0.885
0.038 0.250 0.628
0.462 0.750 0.128
0.538 0.250 0.872
0.962 0.750 0.372
```

Results
SG = Pnma, No. 62
DFT total energy = -42.56 eV/f.u.
DFT formation energy = -0.90 eV per atom